# TlV5Se8, optimized geometry, DFT PBE
# DFT formation energy   -13.3 eV per formula unit
# Energy with MP2020 corrections   -6.36 eV/atom
data_TlV5Se8
_chemical_formula_sum 'Tl2 V10 Se16'
_space_group_name_H-M_alt 'C 1 2/m 1'
_space_group_IT_number 12
_cell_length_a 18.3086
_cell_length_b 3.4844
_cell_length_c 9.2401
_cell_angle_alpha 90.00
_cell_angle_beta 103.25
_cell_angle_gamma 90.00
loop_
_space_group_symop_operation_xyz
'x,y,z'
'-x,-y,-z'
'-x,y,-z'
'x,-y,z'
'x+1/2,y+1/2,z'
'-x+1/2,-y+1/2,-z'
'-x+1/2,y+1/2,-z'
'x+1/2,-y+1/2,z'
loop_
_atom_site_label
_atom_site_fract_x
_atom_site_fract_y
_atom_site_fract_z
_atom_site_occupancy
Tl1 0.0000 0.0000 0.0000 1
V1 0.0000 0.5000 0.5000 1
V2 0.1452 0.0000 0.4970 1
V3 0.2071 0.0000 0.8339 1
Se1 0.0696 0.0000 0.6803 1
Se2 0.0867 0.5000 0.3200 1
Se3 0.1643 0.5000 0.9959 1
Se4 0.2404 0.5000 0.6496 1